Below is a geometry-optimized Te2MoW3Se2S4 structure, with properties calculated at the GGA-PBE level.

Output
mass density = 5089 kg/m³
energy above the lowest structure with this stoichiometry = 0.0003 eV per atom
corrected total energy (MP2020 scheme) = -7.3603 eV per atom
DFT total energy = -7.193 eV per atom
formation energy from the elements = -8.8 eV/f.u.

a b c (Å): 3.3073 3.3073 40.9531
angles (deg): 90.00 90.00 120.00
Space group P3m1 (No. 156)
Unique sites:
Te: 0.0000 0.0000 0.0000 [1 per cell]
Te: 0.0000 0.0000 0.0934 [1 per cell]
Mo: 0.6667 0.3333 0.0467 [1 per cell]
W: 0.0000 0.0000 0.2388 [1 per cell]
W: 0.0000 0.0000 0.8591 [1 per cell]
W: 0.6667 0.3333 0.6725 [1 per cell]
Se: 0.6667 0.3333 0.1975 [1 per cell]
Se: 0.6667 0.3333 0.2800 [1 per cell]
S: 0.0000 0.0000 0.6351 [1 per cell]
S: 0.0000 0.0000 0.7100 [1 per cell]
S: 0.6667 0.3333 0.8217 [1 per cell]
S: 0.6667 0.3333 0.8966 [1 per cell]